Record 1
Compound: BaNdMgCo2O5
Source: the Materials Project database
Functional: PBE+U
Structure: relaxed

Calculated values
ΔE_f = -2.09 eV per atom
Volume = 155.3 Å³/cell
Total magnetization = 5.0 μB/cell

a = 3.830 Å, b = 4.186 Å, c = 9.687 Å
α = 90.00°, β = 90.00°, γ = 90.00°
Element x y z (fractional)
O: 0.000 0.500 0.174
O: 0.500 0.000 0.835
O: 0.500 0.000 0.169
O: 0.000 0.000 0.542
O: 0.000 0.500 0.852
Nd: 0.500 0.500 0.988
Co: 0.000 0.000 0.146
Co: 0.000 0.000 0.856
Mg: 0.500 0.000 0.634
Ba: 0.500 0.500 0.354


Record 2
Compound: BaNdMgCo2O5
Source: the Materials Project database
Functional: PBE+U
Structure: relaxed

Calculated values
ΔE_f = -1.85 eV per atom
Volume = 142.9 Å³/cell
Total magnetization = 5.0 μB/cell

a = 4.558 Å, b = 3.679 Å, c = 8.520 Å
α = 90.00°, β = 90.00°, γ = 90.00°
Element x y z (fractional)
Nd: 0.500 0.500 0.000
O: 0.500 0.000 0.181
O: 0.000 0.500 0.853
O: 0.000 0.500 0.147
O: 0.500 0.000 0.819
O: 0.000 0.000 0.500
Co: 0.000 0.000 0.720
Co: 0.000 0.000 0.280
Mg: 0.000 0.000 0.000
Ba: 0.500 0.500 0.500


Record 3
Compound: BaMgCo4O8
Source: the Materials Project database
Functional: PBE+U
Structure: relaxed

Calculated values
ΔE_f = -1.63 eV per atom
Volume = 179.3 Å³/cell
Total magnetization = 8.0 μB/cell

a = 5.311 Å, b = 5.311 Å, c = 7.339 Å
α = 90.00°, β = 90.00°, γ = 120.00°
Element x y z (fractional)
O: 0.683 0.000 0.678
O: 0.683 0.683 0.322
O: 0.317 0.000 0.322
O: 0.000 0.683 0.678
O: 0.317 0.317 0.678
O: 0.000 0.317 0.322
O: 0.333 0.667 0.000
O: 0.667 0.333 0.000
Co: 0.333 0.667 0.253
Co: 0.667 0.333 0.747
Co: 0.333 0.667 0.747
Co: 0.667 0.333 0.253
Mg: 0.000 0.000 0.500
Ba: 0.000 0.000 0.000


Record 4
Compound: Ba4MgCo4O10
Source: the Materials Project database
Functional: PBE+U
Structure: relaxed

Calculated values
ΔE_f = -2.03 eV per atom
Volume = 315.7 Å³/cell
Total magnetization = 14.0 μB/cell

a = 6.227 Å, b = 6.264 Å, c = 9.662 Å
α = 113.13°, β = 113.51°, γ = 75.34°
Element x y z (fractional)
O: 0.875 0.853 0.695
O: 0.201 0.240 0.002
O: 0.107 0.148 0.279
O: 0.252 0.746 0.010
O: 0.687 0.196 0.962
O: 0.428 0.898 0.518
O: 0.907 0.071 0.492
O: 0.354 0.367 0.674
O: 0.668 0.608 0.286
O: 0.743 0.712 0.007
Co: 0.032 0.056 0.037
Co: 0.565 0.539 0.043
Co: 0.745 0.829 0.479
Co: 0.190 0.163 0.481
Mg: 0.612 0.114 0.734
Ba: 0.332 0.835 0.783
Ba: 0.627 0.128 0.207
Ba: 0.149 0.637 0.229
Ba: 0.960 0.465 0.790


Record 5
Compound: Ba4MgCo4O10
Source: the Materials Project database
Functional: PBE+U
Structure: relaxed

Calculated values
ΔE_f = -2.08 eV per atom
Volume = 294.9 Å³/cell
Total magnetization = 13.3 μB/cell

a = 5.498 Å, b = 5.751 Å, c = 10.138 Å
α = 106.52°, β = 105.68°, γ = 89.88°
Element x y z (fractional)
Co: 0.687 0.838 0.500
Co: 0.016 0.011 0.000
Co: 0.516 0.510 0.000
Co: 0.198 0.129 0.499
O: 0.836 0.139 0.500
O: 0.268 0.265 0.996
O: 0.317 0.389 0.661
O: 0.329 0.816 0.500
O: 0.911 0.772 0.660
O: 0.157 0.222 0.336
O: 0.262 0.768 0.002
O: 0.762 0.757 0.004
O: 0.754 0.610 0.342
O: 0.770 0.254 0.998
Ba: 0.118 0.605 0.198
Ba: 0.421 0.907 0.803
Ba: 0.622 0.129 0.223
Ba: 0.899 0.405 0.777
Mg: 0.069 0.558 0.501


Record 6
Compound: BaMg6CoO8
Source: the Materials Project database
Functional: PBE+U
Structure: relaxed

Calculated values
ΔE_f = -2.38 eV per atom
Volume = 192.0 Å³/cell
Total magnetization = 3.0 μB/cell

a = 8.752 Å, b = 4.684 Å, c = 4.684 Å
α = 90.00°, β = 90.00°, γ = 90.00°
Element x y z (fractional)
O: 0.000 0.000 0.500
O: 0.783 0.000 0.000
O: 0.000 0.500 0.000
O: 0.248 0.500 0.500
O: 0.217 0.000 0.000
O: 0.500 0.000 0.500
O: 0.752 0.500 0.500
O: 0.500 0.500 0.000
Mg: 0.500 0.500 0.500
Mg: 0.000 0.500 0.500
Mg: 0.233 0.000 0.500
Mg: 0.233 0.500 0.000
Mg: 0.767 0.500 0.000
Mg: 0.767 0.000 0.500
Ba: 0.500 0.000 0.000
Co: 0.000 0.000 0.000


Record 7
Compound: BaMg6CoO8
Source: the Materials Project database
Functional: PBE+U
Structure: relaxed

Calculated values
ΔE_f = -2.42 eV per atom
Volume = 189.1 Å³/cell
Total magnetization = 3.0 μB/cell

a = 8.984 Å, b = 4.588 Å, c = 4.588 Å
α = 90.00°, β = 90.00°, γ = 90.00°
Element x y z (fractional)
Mg: 0.730 0.000 0.500
Mg: 0.270 0.000 0.500
Mg: 0.730 0.500 0.000
Mg: 0.270 0.500 0.000
Mg: 0.500 0.500 0.500
Mg: 0.500 0.000 0.000
O: 0.261 0.000 0.000
O: 0.717 0.500 0.500
O: 0.500 0.000 0.500
O: 0.739 0.000 0.000
O: 0.283 0.500 0.500
O: 0.000 0.500 0.000
O: 0.500 0.500 0.000
O: 0.000 0.000 0.500
Co: 0.000 0.000 0.000
Ba: 0.000 0.500 0.500


Record 8
Compound: Ba2Tb2MgCo4O11
Source: the Materials Project database
Functional: PBE+U
Structure: relaxed

Calculated values
ΔE_f = -2.18 eV per atom
Volume = 260.4 Å³/cell
Total magnetization = 10.0 μB/cell

a = 3.817 Å, b = 7.736 Å, c = 8.819 Å
α = 90.00°, β = 90.00°, γ = 90.00°
Element x y z (fractional)
Tb: 0.500 0.500 0.744
Tb: 0.500 0.500 0.256
O: 0.500 0.251 0.500
O: 0.500 0.679 0.000
O: 0.000 0.000 0.000
O: 0.000 0.307 0.224
O: 0.000 0.500 0.500
O: 0.000 0.693 0.776
O: 0.000 0.693 0.224
O: 0.000 0.000 0.500
O: 0.000 0.307 0.776
O: 0.500 0.749 0.500
O: 0.500 0.321 0.000
Ba: 0.500 0.000 0.810
Ba: 0.500 0.000 0.190
Co: 0.000 0.737 0.500
Co: 0.000 0.713 0.000
Co: 0.000 0.287 0.000
Co: 0.000 0.263 0.500
Mg: 0.500 0.000 0.500


Record 9
Compound: Ba2Tb2MgCo4O11
Source: the Materials Project database
Functional: PBE+U
Structure: relaxed

Calculated values
ΔE_f = -2.14 eV per atom
Volume = 256.4 Å³/cell
Total magnetization = 12.9 μB/cell

a = 3.832 Å, b = 8.158 Å, c = 8.201 Å
α = 90.00°, β = 90.00°, γ = 90.00°
Element x y z (fractional)
O: 0.500 0.340 0.000
O: 0.500 0.274 0.500
O: 0.000 0.679 0.782
O: 0.500 0.726 0.500
O: 0.500 0.660 0.000
O: 0.000 0.000 0.500
O: 0.000 0.321 0.218
O: 0.000 0.679 0.218
O: 0.000 0.321 0.782
O: 0.000 0.000 0.000
O: 0.000 0.500 0.500
Co: 0.000 0.780 0.000
Co: 0.000 0.258 0.500
Co: 0.000 0.742 0.500
Co: 0.000 0.220 0.000
Ba: 0.500 0.000 0.729
Ba: 0.500 0.000 0.271
Mg: 0.000 0.500 0.000
Tb: 0.500 0.500 0.291
Tb: 0.500 0.500 0.709


Record 10
Compound: Ba2Mg3Tl2Co4O12
Source: the Materials Project database
Functional: PBE+U
Structure: relaxed

Calculated values
ΔE_f = -1.62 eV per atom
Volume = 301.9 Å³/cell
Total magnetization = 0.0 μB/cell

a = 21.188 Å, b = 21.188 Å, c = 21.188 Å
α = 169.74°, β = 169.74°, γ = 14.53°
Element x y z (fractional)
O: 0.329 0.329 0.000
O: 0.398 0.898 0.500
O: 0.034 0.534 0.500
O: 0.671 0.671 0.000
O: 0.966 0.466 0.500
O: 0.534 0.034 0.500
O: 0.102 0.602 0.500
O: 0.898 0.398 0.500
O: 0.602 0.102 0.500
O: 0.466 0.966 0.500
O: 0.226 0.226 0.000
O: 0.774 0.774 0.000
Ba: 0.845 0.845 0.000
Ba: 0.155 0.155 0.000
Tl: 0.278 0.278 0.000
Tl: 0.722 0.722 0.000
Co: 0.465 0.465 0.000
Co: 0.398 0.398 0.000
Co: 0.602 0.602 0.000
Co: 0.535 0.535 0.000
Mg: 0.000 0.000 0.000
Mg: 0.927 0.927 0.000
Mg: 0.073 0.073 0.000


Record 11
Compound: Ba2Mg2Tl2Co3O10
Source: the Materials Project database
Functional: PBE+U
Structure: relaxed

Calculated values
ΔE_f = -1.83 eV per atom
Volume = 269.8 Å³/cell
Total magnetization = 8.4 μB/cell

a = 3.868 Å, b = 3.904 Å, c = 18.042 Å
α = 95.71°, β = 95.37°, γ = 90.37°
Element x y z (fractional)
O: 0.779 0.725 0.554
O: 0.137 0.616 0.160
O: 0.371 0.155 0.996
O: 0.922 0.708 0.005
O: 0.911 0.432 0.847
O: 0.333 0.369 0.684
O: 0.637 0.119 0.154
O: 0.687 0.699 0.317
O: 0.236 0.177 0.447
O: 0.409 0.934 0.839
Co: 0.633 0.623 0.158
Co: 0.410 0.439 0.843
Co: 0.440 0.634 0.000
Ba: 0.850 0.892 0.722
Ba: 0.177 0.186 0.280
Tl: 0.729 0.820 0.435
Tl: 0.281 0.380 0.565
Mg: 0.950 0.993 0.912
Mg: 0.091 0.100 0.091


Record 12
Compound: Ba2YMgCo3O8
Source: the Materials Project database
Functional: PBE+U
Structure: relaxed

Calculated values
ΔE_f = -2.26 eV per atom
Volume = 228.8 Å³/cell
Total magnetization = 8.8 μB/cell

a = 3.827 Å, b = 3.991 Å, c = 14.982 Å
α = 90.00°, β = 90.00°, γ = 90.00°
Element x y z (fractional)
O: 0.000 0.500 0.583
O: 0.500 0.000 0.572
O: 0.500 0.000 0.023
O: 0.000 0.500 0.387
O: 0.000 0.000 0.215
O: 0.500 0.000 0.385
O: 0.000 0.500 0.060
O: 0.000 0.000 0.740
Co: 0.000 0.000 0.086
Co: 0.000 0.000 0.363
Co: 0.000 0.000 0.610
Y: 0.500 0.500 0.487
Ba: 0.500 0.500 0.241
Ba: 0.500 0.500 0.731
Mg: 0.500 0.500 0.017


Record 13
Compound: Ba4NbCo2MoO12
Source: the Materials Project database
Functional: PBE+U
Structure: relaxed

Calculated values
ΔE_f = -2.60 eV per atom
Volume = 275.2 Å³/cell
Total magnetization = 7.0 μB/cell

a = 5.822 Å, b = 5.822 Å, c = 8.118 Å
α = 90.00°, β = 90.00°, γ = 90.00°
Element x y z (fractional)
Ba: 0.000 0.500 0.749
Ba: 0.500 0.000 0.251
Ba: 0.000 0.500 0.251
Ba: 0.500 0.000 0.749
O: 0.740 0.260 0.000
O: 0.243 0.243 0.500
O: 0.260 0.260 0.000
O: 0.000 0.000 0.241
O: 0.500 0.500 0.764
O: 0.260 0.740 0.000
O: 0.243 0.757 0.500
O: 0.757 0.243 0.500
O: 0.500 0.500 0.236
O: 0.000 0.000 0.759
O: 0.757 0.757 0.500
O: 0.740 0.740 0.000
Co: 0.500 0.500 0.500
Co: 0.000 0.000 0.000
Mo: 0.500 0.500 0.000
Nb: 0.000 0.000 0.500


Record 14
Compound: Ba8Nb6CoO24
Source: the Materials Project database
Functional: PBE+U
Structure: relaxed

Calculated values
ΔE_f = -3.17 eV per atom
Volume = 574.2 Å³/cell
Total magnetization = 3.0 μB/cell

a = 5.875 Å, b = 5.875 Å, c = 19.207 Å
α = 90.00°, β = 90.00°, γ = 120.00°
Element x y z (fractional)
O: 0.501 0.002 0.813
O: 0.172 0.344 0.935
O: 0.828 0.656 0.065
O: 0.662 0.831 0.307
O: 0.338 0.169 0.693
O: 0.164 0.328 0.571
O: 0.499 0.998 0.187
O: 0.672 0.836 0.571
O: 0.828 0.172 0.065
O: 0.169 0.338 0.307
O: 0.998 0.499 0.813
O: 0.831 0.662 0.693
O: 0.164 0.836 0.571
O: 0.002 0.501 0.187
O: 0.169 0.831 0.307
O: 0.501 0.499 0.813
O: 0.656 0.828 0.935
O: 0.831 0.169 0.693
O: 0.499 0.501 0.187
O: 0.328 0.164 0.429
O: 0.836 0.164 0.429
O: 0.172 0.828 0.935
O: 0.836 0.672 0.429
O: 0.344 0.172 0.065
Ba: 0.333 0.667 0.062
Ba: 0.000 0.000 0.814
Ba: 0.667 0.333 0.938
Ba: 0.667 0.333 0.544
Ba: 0.333 0.667 0.683
Ba: 0.667 0.333 0.317
Ba: 0.000 0.000 0.186
Ba: 0.333 0.667 0.456
Nb: 0.000 0.000 0.615
Nb: 0.333 0.667 0.253
Nb: 0.000 0.000 0.385
Nb: 0.333 0.667 0.879
Nb: 0.667 0.333 0.747
Nb: 0.667 0.333 0.121
Co: 0.000 0.000 0.000


Record 15
Compound: BaPrNbCoO6
Source: the Materials Project database
Functional: PBE+U
Structure: relaxed

Calculated values
ΔE_f = -2.80 eV per atom
Volume = 134.8 Å³/cell
Total magnetization = 3.0 μB/cell

a = 5.755 Å, b = 5.755 Å, c = 5.755 Å
α = 60.00°, β = 60.00°, γ = 60.00°
Element x y z (fractional)
O: 0.252 0.748 0.748
O: 0.252 0.748 0.252
O: 0.748 0.252 0.748
O: 0.748 0.748 0.252
O: 0.252 0.252 0.748
O: 0.748 0.252 0.252
Co: 0.000 0.000 0.000
Nb: 0.500 0.500 0.500
Ba: 0.750 0.750 0.750
Pr: 0.250 0.250 0.250


Record 16
Compound: BaNd3Co4O12
Source: the Materials Project database
Functional: PBE+U
Structure: relaxed

Calculated values
ΔE_f = -2.37 eV per atom
Volume = 237.3 Å³/cell
Total magnetization = 11.0 μB/cell

a = 7.883 Å, b = 5.474 Å, c = 5.499 Å
α = 89.19°, β = 90.00°, γ = 90.00°
Element x y z (fractional)
O: 0.267 0.253 0.262
O: 0.798 0.732 0.725
O: 0.500 0.581 0.002
O: 0.203 0.760 0.221
O: 0.733 0.253 0.262
O: 0.719 0.218 0.796
O: 0.000 0.077 0.523
O: 0.000 0.430 0.007
O: 0.500 0.970 0.475
O: 0.797 0.760 0.221
O: 0.202 0.732 0.725
O: 0.281 0.218 0.796
Nd: 0.000 0.506 0.464
Nd: 0.500 0.012 0.035
Nd: 0.000 0.996 0.973
Co: 0.247 0.498 0.997
Co: 0.753 0.498 0.997
Co: 0.248 0.003 0.503
Co: 0.752 0.003 0.503
Ba: 0.500 0.501 0.514